Entry from Materials Project: crystalline K2ThP3Se9 at its relaxed geometry (PBE).

Lattice parameters (Å, degrees): 10.5365 7.9777 22.7466 90.00 113.59 90.00
With the nearest neighbours (Å) after each atom.
Space group P2_1/c (No. 14)
Asymmetric unit:
K 0.0594 0.1012 0.3229  8 Se 3.45-3.75
K 0.2583 0.5875 0.5000  7 Se 3.32-3.68
Th 0.3957 0.0931 0.6456  9 Se 3.01-3.32
P 0.1205 0.1232 0.1584  3 Se 2.16-2.24, 1 P 2.28
P 0.2798 0.5869 0.6933  3 Se 2.21-2.26, 1 P 2.28
P 0.4300 0.1119 0.4862  3 Se 2.19-2.22, 1 P 2.24
Se 0.0732 0.5307 0.3427  1 P 2.16
Se 0.1369 0.2136 0.0683  1 P 2.24
Se 0.2065 0.7181 0.1174  1 P 2.22
Se 0.2220 0.1723 0.7261  1 P 2.20
Se 0.2379 0.0226 0.4937  1 P 2.22
Se 0.2940 0.6765 0.7876  1 P 2.21
Se 0.4245 0.1954 0.3935  1 P 2.19
Se 0.4805 0.0445 0.2087  1 P 2.26
Se 0.4804 0.7065 0.4338  1 P 2.22

## Properties
Formation energy in eV/atom: -1.03
Calculated total energy in eV per atom: -4.5723
Polymorph energy (0 for the lowest one) in eV/f.u.: 0.00

---

Entry from Materials Project: crystalline La2ZnSb4 at its relaxed geometry (PBE).

Lattice parameters (Å, degrees): 4.4163 4.4163 10.4460 90.00 90.00 90.00
With the nearest neighbours (Å) after each atom.
Space group P-4m2 (No. 115)
Asymmetric unit:
La 0.0000 0.5000 0.2483  8 Sb 3.29-3.41, 2 Zn 3.43
Zn 0.0000 0.0000 0.5000  4 Sb 2.72
Sb 0.0000 0.0000 0.0000  4 Sb 3.12, 4 La 3.41
Sb 0.0000 0.5000 0.6522  2 Zn 2.72
Sb 0.5000 0.5000 0.0000  4 Sb 3.12, 4 La 3.41

## Properties
Formation energy in eV/atom: -0.91
Calculated total energy in eV per atom: -4.7482

---

Entry from Materials Project: crystalline YMg5 at its relaxed geometry (PBE).

Lattice parameters (Å, degrees): 5.6113 5.6113 16.5098 90.00 90.00 120.00
With the nearest neighbours (Å) after each atom.
Space group R32 (No. 155, hexagonal axes)
Asymmetric unit:
Y 0.0000 0.0000 0.0000  12 Mg 3.24-3.33
Mg 0.0000 0.0000 0.3341  3 Y 3.24, 9 Mg 3.24-3.34
Mg 0.0000 0.6676 0.5000  10 Mg 3.23-3.34, 2 Y 3.33

## Properties
Formation energy in eV/atom: 0.02
Calculated total energy in eV per atom: -2.3954

---

Entry from Materials Project: crystalline AlPO4 at its relaxed geometry (PBE).

Lattice parameters (Å, degrees): 9.0357 20.0528 10.2087 90.00 90.00 90.00
With the nearest neighbours (Å) after each atom.
Space group Pbca (No. 61)
Asymmetric unit:
Al 0.1385 0.0475 0.1533  4 O 1.74-1.75
Al 0.1957 0.7051 0.4200  4 O 1.74-1.75
P 0.1539 0.2053 0.1442  4 O 1.53-1.54
P 0.2061 0.5472 0.4222  4 O 1.54
O 0.0099 0.7207 0.3822  1 P 1.54
O 0.0508 0.5339 0.3661  1 P 1.54
O 0.1790 0.0289 0.3171  1 P 1.54
O 0.1864 0.1307 0.1214  1 P 1.54
O 0.1898 0.2246 0.2866  1 P 1.54
O 0.2206 0.6210 0.4620  1 P 1.54
O 0.2345 0.5038 0.5434  1 P 1.54
O 0.2469 0.7458 0.0524  1 P 1.53

## Properties
Formation energy in eV/atom: -3.11
Calculated total energy in eV per atom: -7.4759

---

Entry from Materials Project: crystalline Zr3Ga at its relaxed geometry (PBE).

Lattice parameters (Å, degrees): 4.3676 4.3676 4.3676 90.00 90.00 90.00
With the nearest neighbours (Å) after each atom.
Space group Pm-3m (No. 221)
Asymmetric unit:
Zr 0.0000 0.0000 0.5000  8 Zr 3.09, 4 Ga 3.09
Ga 0.5000 0.5000 0.5000  12 Zr 3.09

## Properties
Formation energy in eV/atom: -0.34
Calculated total energy in eV per atom: -7.5046

---

Entry from Materials Project: crystalline GaPt3 at its relaxed geometry (PBE).

Lattice parameters (Å, degrees): 5.5463 5.5463 8.0049 90.00 90.00 90.00
With the nearest neighbours (Å) after each atom.
Space group I4/mcm (No. 140)
Asymmetric unit:
Ga 0.0000 0.5000 0.2500  8 Pt 2.58-2.77
Pt 0.0000 0.0000 0.2500  4 Ga 2.77, 8 Pt 2.82
Pt 0.2066 0.2934 0.0000  2 Ga 2.58, 8 Pt 2.81-2.82

## Properties
Formation energy in eV/atom: -0.44
Calculated total energy in eV per atom: -5.7545

---

Entry from Materials Project: crystalline U7Cd3O20 at its relaxed geometry (PBE).

Lattice parameters (Å, degrees): 6.5948 19.0103 6.5447 90.00 109.41 90.00
With the nearest neighbours (Å) after each atom.
Space group C2/m (No. 12)
Asymmetric unit:
U 0.0000 0.0000 0.0000  8 O 2.29-2.30
U 0.0000 0.1003 0.5000  8 O 2.27-2.30
U 0.0000 0.3005 0.5000  8 O 2.20-2.32
U 0.0000 0.3992 0.0000  8 O 2.26-2.32
Cd 0.0000 0.2024 0.0000  8 O 2.40-2.45
Cd 0.0000 0.5000 0.5000  8 O 2.39-2.42
O 0.1113 0.0000 0.3702  3 U 2.29-2.30, 1 Cd 2.42
O 0.1139 0.3054 0.8567  2 U 2.20-2.26, 2 Cd 2.40-2.41
O 0.1268 0.0963 0.8686  3 U 2.28-2.32, 1 Cd 2.45
O 0.1305 0.1993 0.3952  3 U 2.27-2.30, 1 Cd 2.44, 1 O 2.53
O 0.1308 0.5000 0.8901  3 U 2.30-2.31, 1 Cd 2.41
O 0.1338 0.3978 0.3736  3 U 2.28-2.32, 1 Cd 2.39, 1 O 2.53

## Properties
Formation energy in eV/atom: -3.24
Calculated total energy in eV per atom: -8.8120

---

Entry from Materials Project: crystalline TiMoN3 at its relaxed geometry (PBE).

Lattice parameters (Å, degrees): 5.0857 7.3052 7.5782 90.20 102.54 96.82
With the nearest neighbours (Å) after each atom.
Space group P-1 (No. 2)
Asymmetric unit:
Ti 0.0036 0.1967 0.0327  4 N 1.90-2.07
Ti 0.4620 0.8260 0.6941  2 N 1.83-1.99
Mo 0.0177 0.5304 0.6915  2 N 1.79-1.94
Mo 0.0256 0.8626 0.3584  4 N 1.84-2.06
N 0.1367 0.3317 0.8454  1 Ti 1.93, 2 Mo 1.94-2.06
N 0.1838 0.9963 0.1693  3 Ti 1.99-2.15, 1 Mo 1.99
N 0.2113 0.6600 0.5052  1 Ti 1.99, 3 Mo 2.05-2.09
N 0.2551 0.3648 0.2521  1 Mo 1.79
N 0.2690 0.0490 0.5812  1 Mo 1.84
N 0.2860 0.7377 0.8684  2 Ti 1.83-1.90

## Properties
Formation energy in eV/atom: -0.87
Calculated total energy in eV per atom: -9.4021

---

Entry from Materials Project: crystalline Pu2InPd2 at its relaxed geometry (PBE).

Lattice parameters (Å, degrees): 7.7094 7.7094 3.6973 90.00 90.00 90.00
With the nearest neighbours (Å) after each atom.
Space group P4/mbm (No. 127)
Asymmetric unit:
Pu 0.1700 0.3300 0.0000  6 Pd 2.84-2.99
In 0.0000 0.0000 0.5000  4 Pd 3.01
Pd 0.1320 0.6320 0.5000  6 Pu 2.84-2.99, 1 Pd 2.88, 2 In 3.01

## Properties
Formation energy in eV/atom: -0.48
Calculated total energy in eV per atom: -8.8109

---

Entry from Materials Project: crystalline K2LiBiBr6 at its relaxed geometry (PBE).

Lattice parameters (Å, degrees): 11.1736 11.1736 11.1736 90.00 90.00 90.00
With the nearest neighbours (Å) after each atom.
Space group Fm-3m (No. 225)
Asymmetric unit:
K 0.2500 0.2500 0.2500  12 Br 3.95
Li 0.0000 0.0000 0.0000  6 Br 2.73
Bi 0.0000 0.0000 0.5000  6 Br 2.86
Br 0.0000 0.0000 0.2442  1 Li 2.73, 1 Bi 2.86

## Properties
Formation energy in eV/atom: -1.61
Calculated total energy in eV per atom: -3.0713

---

Entry from Materials Project: crystalline Ba3Y4O9 at its relaxed geometry (PBE).

Lattice parameters (Å, degrees): 6.1607 6.1607 9.2769 70.61 70.61 60.00
With the nearest neighbours (Å) after each atom.
Space group P1 (No. 1)
Asymmetric unit:
Ba 0.0000 0.0000 0.0000  6 O 2.75-2.81
Ba 0.1753 0.1701 0.4994  6 O 2.74-2.87
Ba 0.5929 0.5791 0.2373  3 O 2.64-2.72
Y 0.3046 0.3044 0.0892  6 O 2.22-2.31
Y 0.4402 0.4281 0.7171  6 O 2.22-2.47
Y 0.7403 0.7357 0.7796  6 O 2.23-2.48
Y 0.8818 0.8628 0.4009  6 O 2.20-2.34
O 0.0283 0.1510 0.2428  2 Y 2.22-2.26
O 0.0515 0.5840 0.9190  3 Y 2.24-2.47
O 0.1277 0.7131 0.5762  3 Y 2.24-2.48
O 0.1539 0.5881 0.2496  2 Y 2.20-2.31
O 0.4590 0.0453 0.9164  3 Y 2.26-2.44
O 0.5837 0.0189 0.2505  2 Y 2.29-2.30
O 0.5863 0.4503 0.9167  3 Y 2.23-2.38
O 0.5990 0.1135 0.5808  3 Y 2.29-2.40
O 0.7264 0.5784 0.5825  3 Y 2.22-2.38

## Properties
Formation energy in eV/atom: -3.53
Calculated total energy in eV per atom: -7.9004
Polymorph energy (0 for the lowest one) in eV/f.u.: 0.18

---

Entry from Materials Project: crystalline CoGe7N10 at its relaxed geometry (PBE).

Lattice parameters (Å, degrees): 6.8474 7.4468 10.2867 90.00 103.58 90.00
With the nearest neighbours (Å) after each atom.
Space group Pc (No. 7)
Asymmetric unit:
Co 0.0000 0.1248 0.0000  3 N 1.96-2.11
Ge 0.1162 0.3960 0.8669  4 N 1.85-1.90
Ge 0.3035 0.3740 0.1726  4 N 1.83-1.88
Ge 0.3297 0.0167 0.8105  4 N 1.81-1.95
Ge 0.4935 0.3625 0.4758  4 N 1.82-1.86
Ge 0.5428 0.0190 0.1080  4 N 1.84-2.02
Ge 0.6554 0.3501 0.7820  4 N 1.81-1.89
Ge 0.8417 0.3800 0.1116  4 N 1.83-1.96
N 0.0805 0.4283 0.2361  3 Ge 1.84-1.86
N 0.1306 0.1497 0.8510  2 Ge 1.81-1.85, 1 Co 1.96
N 0.2901 0.1241 0.1463  3 Ge 1.88-2.02
N 0.2981 0.4879 0.0137  3 Ge 1.83-1.85
N 0.4462 0.1220 0.4577  3 Ge 1.82-1.86
N 0.5167 0.4456 0.3096  3 Ge 1.85-1.86
N 0.5330 0.1343 0.7515  3 Ge 1.81-1.88
N 0.7135 0.4018 0.6168  3 Ge 1.85-1.87
N 0.7757 0.1418 0.1093  2 Ge 1.83-1.84
N 0.8797 0.3569 0.9291  3 Ge 1.89-1.96, 1 Co 1.98

## Properties
Formation energy in eV/atom: -0.01
Calculated total energy in eV per atom: -6.6376

---

Entry from Materials Project: crystalline KMgNbO3 at its relaxed geometry (PBE).

Lattice parameters (Å, degrees): 4.1562 4.1562 4.9289 90.00 90.00 90.00
With the nearest neighbours (Å) after each atom.
Space group P4/mmm (No. 123)
Asymmetric unit:
K 0.0000 0.0000 0.0000  2 Mg 2.46
Mg 0.0000 0.0000 0.5000  4 O 2.08
Nb 0.5000 0.5000 0.5000  4 O 2.08
O 0.0000 0.5000 0.5000  2 Nb 2.08, 2 Mg 2.08
O 0.5000 0.5000 0.0000  2 Nb 2.46

## Properties
Formation energy in eV/atom: -1.73
Calculated total energy in eV per atom: -5.9979
Polymorph energy (0 for the lowest one) in eV/f.u.: 3.45